# r²SCAN NaLaAu2, relaxed
data_NaLaAu2
_chemical_formula_sum 'Na4 La4 Au8'
_cell_length_a 7.262
_cell_length_b 7.262
_cell_length_c 7.262
_cell_angle_alpha 90.00
_cell_angle_beta 90.00
_cell_angle_gamma 90.00
_symmetry_space_group_name_H-M 'F m -3 m'
_symmetry_Int_Tables_number 225
_symmetry_space_group_name_Hall '-F 4 2 3'
loop_
_atom_site_label
_atom_site_type_symbol
_atom_site_fract_x
_atom_site_fract_y
_atom_site_fract_z
Na1 Na 0.000 0.000 0.000
La1 La 0.000 0.000 0.500
Au1 Au 0.250 0.250 0.250
# Calculated formation energy: -684 meV/atom
# M_tot: 0.00 μB per formula unit